Entry from the Materials Project database: an optimized crystal structure of K4Rb2Co2O5 (PBE with a Hubbard U).

Computed properties:
Energy with MP2020 corrections: -0.180 Ha/atom
E: -4.38 eV per atom

Cell lengths 6.8020, 6.8020, 11.8773 Å; angles 90.00, 90.00, 90.00 degrees
Closest atoms and distances in Å follow each position.
Fractional positions:
K (0.5000, 0.0000, 0.2500)  4 O 2.75
K (0.5000, 0.0000, 0.7500)  4 O 2.75
K (0.0000, 0.0000, 0.7790)  5 O 2.62-2.89
K (0.5000, 0.5000, 0.2790)  5 O 2.62-2.89
K (0.5000, 0.5000, 0.7210)  5 O 2.62-2.89
K (0.0000, 0.0000, 0.2210)  5 O 2.62-2.89
K (0.0000, 0.5000, 0.2500)  4 O 2.75
K (0.0000, 0.5000, 0.7500)  4 O 2.75
Rb (0.3136, 0.3136, 0.0000)  5 O 3.02-3.21, 2 Co 3.36
Rb (0.1864, 0.8136, 0.5000)  5 O 3.02-3.21, 2 Co 3.36
Rb (0.8136, 0.1864, 0.5000)  5 O 3.02-3.21, 2 Co 3.36
Rb (0.6864, 0.6864, 0.0000)  5 O 3.02-3.21, 2 Co 3.36
Co (0.2043, 0.7957, 0.0000)  3 O 1.83-1.97
Co (0.7043, 0.7043, 0.5000)  3 O 1.83-1.97
Co (0.2957, 0.2957, 0.5000)  3 O 1.83-1.97
Co (0.7957, 0.2043, 0.0000)  3 O 1.83-1.97
O (0.5000, 0.5000, 0.5000)  2 Co 1.97
O (0.0000, 0.0000, 0.0000)  2 Co 1.97
O (0.7834, 0.7834, 0.3598)  1 Co 1.83
O (0.2166, 0.2166, 0.3598)  1 Co 1.83
O (0.7834, 0.7834, 0.6402)  1 Co 1.83
O (0.2834, 0.7166, 0.8598)  1 Co 1.83
O (0.7166, 0.2834, 0.8598)  1 Co 1.83
O (0.7166, 0.2834, 0.1402)  1 Co 1.83
O (0.2166, 0.2166, 0.6402)  1 Co 1.83
O (0.2834, 0.7166, 0.1402)  1 Co 1.83